A plane-wave DFT calculation with PBE-GGA was carried out for an optimized crystal structure of RuClF8.

Cell: 5.851 10.934 20.055 Å, 90.00 90.00 90.00°
Positions (direct):
F (0.407, 0.699, 0.052)
F (0.379, 0.092, 0.181)
F (0.393, 0.333, 0.199)
F (0.148, 0.684, 0.429)
F (0.379, 0.408, 0.819)
F (0.379, 0.592, 0.319)
Cl (0.500, 0.768, 0.750)
F (0.112, 0.392, 0.323)
F (0.102, 0.975, 0.432)
F (0.354, 0.962, 0.070)
Cl (0.597, 0.250, 0.500)
F (0.888, 0.892, 0.323)
F (0.913, 0.887, 0.678)
F (0.852, 0.316, 0.571)
F (0.379, 0.908, 0.681)
F (0.607, 0.833, 0.199)
Cl (0.597, 0.750, 0.000)
Ru (0.872, 0.967, 0.876)
F (0.621, 0.092, 0.319)
Cl (0.403, 0.750, 0.500)
F (0.852, 0.816, 0.929)
F (0.102, 0.025, 0.932)
Ru (0.872, 0.533, 0.124)
F (0.593, 0.301, 0.948)
F (0.888, 0.108, 0.823)
F (0.407, 0.301, 0.552)
F (0.621, 0.592, 0.181)
Cl (0.500, 0.732, 0.250)
F (0.646, 0.462, 0.070)
F (0.607, 0.167, 0.699)
Cl (0.403, 0.250, 0.000)
F (0.102, 0.525, 0.568)
F (0.646, 0.038, 0.930)
F (0.087, 0.613, 0.178)
F (0.354, 0.038, 0.570)
F (0.393, 0.833, 0.301)
Ru (0.872, 0.033, 0.376)
F (0.102, 0.475, 0.068)
F (0.407, 0.801, 0.948)
Ru (0.128, 0.533, 0.376)
F (0.913, 0.113, 0.178)
F (0.898, 0.975, 0.068)
F (0.852, 0.684, 0.071)
F (0.888, 0.608, 0.677)
F (0.898, 0.025, 0.568)
F (0.898, 0.475, 0.432)
F (0.607, 0.667, 0.801)
F (0.852, 0.184, 0.429)
F (0.646, 0.962, 0.430)
Ru (0.872, 0.467, 0.624)
F (0.621, 0.408, 0.681)
F (0.112, 0.892, 0.177)
Ru (0.128, 0.967, 0.624)
F (0.087, 0.113, 0.322)
F (0.898, 0.525, 0.932)
Cl (0.500, 0.268, 0.750)
F (0.646, 0.538, 0.570)
F (0.593, 0.199, 0.052)
F (0.888, 0.392, 0.177)
F (0.148, 0.184, 0.071)
F (0.607, 0.333, 0.301)
F (0.393, 0.167, 0.801)
F (0.593, 0.699, 0.448)
F (0.112, 0.608, 0.823)
F (0.621, 0.908, 0.819)
Ru (0.128, 0.467, 0.876)
F (0.913, 0.387, 0.822)
F (0.148, 0.316, 0.929)
F (0.148, 0.816, 0.571)
Ru (0.128, 0.033, 0.124)
F (0.354, 0.538, 0.930)
Cl (0.500, 0.232, 0.250)
F (0.112, 0.108, 0.677)
F (0.354, 0.462, 0.430)
F (0.407, 0.199, 0.448)
F (0.393, 0.667, 0.699)
F (0.087, 0.887, 0.822)
F (0.593, 0.801, 0.552)
F (0.913, 0.613, 0.322)
F (0.087, 0.387, 0.678)

Results
Calculated formation energy: -1624 meV per atom